# 1
# GGA-PBE Dy2MgS4, relaxed
data_Dy2MgS4
_cell_length_a 7.953
_cell_length_b 7.289
_cell_length_c 11.431
_cell_angle_alpha 90.00
_cell_angle_beta 90.00
_cell_angle_gamma 90.00
_symmetry_space_group_name_H-M 'P 1'
_symmetry_Int_Tables_number 1
_symmetry_space_group_name_Hall 'P 1'
loop_
_atom_site_label
_atom_site_fract_x
_atom_site_fract_y
_atom_site_fract_z
Dy1 0.041 0.750 0.308
Dy2 0.959 0.250 0.692
Dy3 0.459 0.250 0.808
Dy4 0.541 0.750 0.192
Dy5 0.071 0.250 0.021
Dy6 0.929 0.750 0.979
Dy7 0.429 0.750 0.521
Dy8 0.571 0.250 0.479
Mg1 0.180 0.250 0.407
Mg2 0.820 0.750 0.593
Mg3 0.320 0.750 0.907
Mg4 0.680 0.250 0.093
S1 0.127 0.502 0.843
S2 0.873 0.498 0.157
S3 0.373 0.498 0.343
S4 0.627 0.502 0.657
S5 0.627 0.998 0.657
S6 0.373 0.002 0.343
S7 0.873 0.002 0.157
S8 0.127 0.998 0.843
S9 0.895 0.250 0.457
S10 0.105 0.750 0.543
S11 0.605 0.750 0.957
S12 0.395 0.250 0.043
S13 0.222 0.750 0.110
S14 0.778 0.250 0.890
S15 0.278 0.250 0.610
S16 0.722 0.750 0.390
# Total moment   0.0 μB per formula unit
# Energy   -38.946 eV/f.u.
# E (MP2020)   -5.85 eV per atom
# Calculated formation energy   -1.94 eV per atom

---

# 2
# GGA-PBE Sr2SnH8O8, relaxed
data_Sr2SnH8O8
_cell_length_a 6.137
_cell_length_b 6.190
_cell_length_c 11.300
_cell_angle_alpha 90.00
_cell_angle_beta 90.00
_cell_angle_gamma 113.76
_symmetry_space_group_name_H-M 'P 1'
_symmetry_Int_Tables_number 1
_symmetry_space_group_name_Hall 'P 1'
loop_
_atom_site_label
_atom_site_fract_x
_atom_site_fract_y
_atom_site_fract_z
Sr1 0.726 0.390 0.870
Sr2 0.274 0.110 0.370
Sr3 0.274 0.610 0.130
Sr4 0.726 0.890 0.630
Sn1 0.000 0.500 0.500
Sn2 0.000 0.000 0.000
H1 0.141 0.726 0.697
H2 0.859 0.774 0.197
H3 0.859 0.274 0.303
H4 0.141 0.226 0.803
H5 0.245 0.328 0.621
H6 0.755 0.172 0.121
H7 0.755 0.672 0.379
H8 0.245 0.828 0.879
H9 0.585 0.314 0.584
H10 0.415 0.186 0.084
H11 0.415 0.686 0.416
H12 0.585 0.814 0.916
H13 0.367 0.553 0.762
H14 0.633 0.947 0.262
H15 0.633 0.447 0.238
H16 0.367 0.053 0.738
O1 0.979 0.624 0.671
O2 0.021 0.876 0.171
O3 0.021 0.376 0.329
O4 0.979 0.124 0.829
O5 0.120 0.246 0.560
O6 0.880 0.254 0.060
O7 0.880 0.754 0.440
O8 0.120 0.746 0.940
O9 0.650 0.249 0.522
O10 0.350 0.251 0.022
O11 0.350 0.751 0.478
O12 0.650 0.749 0.978
O13 0.456 0.472 0.724
O14 0.544 0.028 0.224
O15 0.544 0.528 0.276
O16 0.456 0.972 0.776
# Total moment   0.0 μB per formula unit
# Energy   -104.187 eV/f.u.
# E (MP2020)   -5.77 eV per atom
# Calculated formation energy   -1.87 eV per atom

---

# 3
# GGA-PBE Y2PdRh, relaxed
data_Y2PdRh
_cell_length_a 4.927
_cell_length_b 4.927
_cell_length_c 4.927
_cell_angle_alpha 60.00
_cell_angle_beta 60.00
_cell_angle_gamma 60.00
_symmetry_space_group_name_H-M 'P 1'
_symmetry_Int_Tables_number 1
_symmetry_space_group_name_Hall 'P 1'
loop_
_atom_site_label
_atom_site_fract_x
_atom_site_fract_y
_atom_site_fract_z
Y1 0.250 0.250 0.250
Y2 0.750 0.750 0.750
Pd1 0.500 0.500 0.500
Rh1 0.000 0.000 0.000
# Energy   -28.932 eV/f.u.
# Calculated formation energy   -0.86 eV per atom

---

# 4
# GGA-PBE Mg14MnW, relaxed
data_Mg14MnW
_cell_length_a 6.175
_cell_length_b 6.175
_cell_length_c 9.881
_cell_angle_alpha 90.00
_cell_angle_beta 90.00
_cell_angle_gamma 120.00
_symmetry_space_group_name_H-M 'P 1'
_symmetry_Int_Tables_number 1
_symmetry_space_group_name_Hall 'P 1'
loop_
_atom_site_label
_atom_site_fract_x
_atom_site_fract_y
_atom_site_fract_z
Mg1 0.168 0.834 0.125
Mg2 0.169 0.835 0.625
Mg3 0.666 0.332 0.125
Mg4 0.665 0.331 0.625
Mg5 0.666 0.834 0.125
Mg6 0.665 0.835 0.625
Mg7 0.323 0.177 0.375
Mg8 0.323 0.177 0.875
Mg9 0.323 0.647 0.375
Mg10 0.323 0.647 0.875
Mg11 0.853 0.177 0.375
Mg12 0.853 0.177 0.875
Mg13 0.833 0.667 0.376
Mg14 0.833 0.667 0.874
Mn1 0.167 0.333 0.125
W1 0.167 0.333 0.625
# Total moment   0.0 μB per formula unit
# Energy   -40.021 eV/f.u.
# Calculated formation energy   0.28 eV per atom

---

# 5
# GGA-PBE KPrEuSbO6, relaxed
data_KPrEuSbO6
_cell_length_a 8.691
_cell_length_b 8.458
_cell_length_c 8.454
_cell_angle_alpha 90.00
_cell_angle_beta 90.00
_cell_angle_gamma 90.00
_symmetry_space_group_name_H-M 'P 1'
_symmetry_Int_Tables_number 1
_symmetry_space_group_name_Hall 'P 1'
loop_
_atom_site_label
_atom_site_fract_x
_atom_site_fract_y
_atom_site_fract_z
K1 0.000 0.500 0.500
K2 0.500 0.000 0.500
K3 0.500 0.000 0.000
K4 0.000 0.500 0.000
Pr1 0.750 0.750 0.750
Pr2 0.250 0.250 0.750
Pr3 0.250 0.750 0.250
Pr4 0.750 0.250 0.250
Eu1 0.500 0.500 0.000
Eu2 0.000 0.000 0.500
Eu3 0.000 0.000 0.000
Eu4 0.500 0.500 0.500
Sb1 0.250 0.250 0.250
Sb2 0.750 0.750 0.250
Sb3 0.750 0.250 0.750
Sb4 0.250 0.750 0.750
O1 0.017 0.192 0.292
O2 0.983 0.808 0.292
O3 0.983 0.192 0.708
O4 0.017 0.808 0.708
O5 0.278 0.021 0.205
O6 0.278 0.979 0.795
O7 0.722 0.979 0.205
O8 0.722 0.021 0.795
O9 0.207 0.284 0.021
O10 0.793 0.284 0.979
O11 0.207 0.716 0.979
O12 0.793 0.716 0.021
O13 0.483 0.308 0.208
O14 0.517 0.692 0.208
O15 0.517 0.308 0.792
O16 0.483 0.692 0.792
O17 0.222 0.479 0.295
O18 0.222 0.521 0.705
O19 0.778 0.521 0.295
O20 0.778 0.479 0.705
O21 0.293 0.216 0.479
O22 0.707 0.216 0.521
O23 0.293 0.784 0.521
O24 0.707 0.784 0.479
# Total moment   6.0 μB per formula unit
# Energy   -72.047 eV/f.u.
# E (MP2020)   -7.62 eV per atom
# Calculated formation energy   -2.62 eV per atom

---

# 6
# GGA-PBE RbCdO3, relaxed
data_RbCdO3
_cell_length_a 4.466
_cell_length_b 4.466
_cell_length_c 4.466
_cell_angle_alpha 90.00
_cell_angle_beta 90.00
_cell_angle_gamma 90.00
_symmetry_space_group_name_H-M 'P 1'
_symmetry_Int_Tables_number 1
_symmetry_space_group_name_Hall 'P 1'
loop_
_atom_site_label
_atom_site_fract_x
_atom_site_fract_y
_atom_site_fract_z
Rb1 0.000 0.000 0.000
Cd1 0.500 0.500 0.500
O1 0.500 0.500 0.000
O2 0.500 0.000 0.500
O3 0.000 0.500 0.500
# Total moment   3.0 μB per formula unit
# Energy   -18.317 eV/f.u.
# E (MP2020)   -4.08 eV per atom
# Calculated formation energy   -0.73 eV per atom

---

# 7
# GGA-PBE Y3Mg2Ge3O12, relaxed
data_Y3Mg2Ge3O12
_cell_length_a 10.837
_cell_length_b 10.837
_cell_length_c 10.837
_cell_angle_alpha 109.47
_cell_angle_beta 109.47
_cell_angle_gamma 109.47
_symmetry_space_group_name_H-M 'P 1'
_symmetry_Int_Tables_number 1
_symmetry_space_group_name_Hall 'P 1'
loop_
_atom_site_label
_atom_site_fract_x
_atom_site_fract_y
_atom_site_fract_z
Y1 0.875 0.625 0.750
Y2 0.125 0.375 0.250
Y3 0.625 0.875 0.250
Y4 0.625 0.750 0.875
Y5 0.875 0.250 0.625
Y6 0.375 0.125 0.750
Y7 0.375 0.250 0.125
Y8 0.125 0.750 0.375
Y9 0.750 0.875 0.625
Y10 0.250 0.125 0.375
Y11 0.250 0.625 0.875
Y12 0.750 0.375 0.125
Mg1 0.000 0.000 0.000
Mg2 0.500 0.000 0.500
Mg3 0.500 0.500 0.000
Mg4 0.000 0.000 0.500
Mg5 0.000 0.500 0.500
Mg6 0.500 0.500 0.500
Mg7 0.500 0.000 0.000
Mg8 0.000 0.500 0.000
Ge1 0.625 0.375 0.750
Ge2 0.375 0.625 0.250
Ge3 0.875 0.125 0.250
Ge4 0.375 0.750 0.625
Ge5 0.625 0.250 0.375
Ge6 0.125 0.875 0.750
Ge7 0.125 0.250 0.875
Ge8 0.875 0.750 0.125
Ge9 0.750 0.625 0.375
Ge10 0.250 0.375 0.625
Ge11 0.250 0.875 0.125
Ge12 0.750 0.125 0.875
O1 0.712 0.625 0.526
O2 0.288 0.375 0.474
O3 0.788 0.814 0.413
O4 0.400 0.875 0.087
O5 0.625 0.526 0.712
O6 0.712 0.087 0.686
O7 0.212 0.186 0.587
O8 0.600 0.125 0.913
O9 0.375 0.474 0.288
O10 0.288 0.913 0.314
O11 0.100 0.686 0.974
O12 0.814 0.413 0.788
O13 0.788 0.974 0.875
O14 0.900 0.314 0.026
O15 0.186 0.587 0.212
O16 0.212 0.026 0.125
O17 0.875 0.087 0.400
O18 0.400 0.526 0.814
O19 0.125 0.913 0.600
O20 0.600 0.474 0.186
O21 0.686 0.974 0.100
O22 0.100 0.413 0.625
O23 0.314 0.026 0.900
O24 0.900 0.587 0.375
O25 0.526 0.712 0.625
O26 0.625 0.100 0.413
O27 0.474 0.288 0.375
O28 0.375 0.900 0.587
O29 0.087 0.400 0.875
O30 0.875 0.788 0.974
O31 0.913 0.600 0.125
O32 0.125 0.212 0.026
O33 0.974 0.100 0.686
O34 0.686 0.712 0.087
O35 0.026 0.900 0.314
O36 0.314 0.288 0.913
O37 0.413 0.788 0.814
O38 0.814 0.400 0.526
O39 0.587 0.212 0.186
O40 0.186 0.600 0.474
O41 0.087 0.686 0.712
O42 0.913 0.314 0.288
O43 0.974 0.875 0.788
O44 0.026 0.125 0.212
O45 0.413 0.625 0.100
O46 0.587 0.375 0.900
O47 0.526 0.814 0.400
O48 0.474 0.186 0.600
# Total moment   0.0 μB per formula unit
# Energy   -147.686 eV/f.u.
# E (MP2020)   -7.80 eV per atom
# Calculated formation energy   -3.00 eV per atom

---

# 8
# GGA-PBE Na2UI6, relaxed
data_Na2UI6
_cell_length_a 8.629
_cell_length_b 8.629
_cell_length_c 8.629
_cell_angle_alpha 54.63
_cell_angle_beta 54.63
_cell_angle_gamma 54.63
_symmetry_space_group_name_H-M 'P 1'
_symmetry_Int_Tables_number 1
_symmetry_space_group_name_Hall 'P 1'
loop_
_atom_site_label
_atom_site_fract_x
_atom_site_fract_y
_atom_site_fract_z
Na1 0.498 0.498 0.498
Na2 0.681 0.681 0.681
U1 0.999 0.999 0.999
I1 0.093 0.770 0.382
I2 0.382 0.093 0.770
I3 0.770 0.382 0.093
I4 0.905 0.239 0.617
I5 0.617 0.905 0.239
I6 0.239 0.617 0.905
# Total moment   2.0 μB per formula unit
# Energy   -32.333 eV/f.u.
# E (MP2020)   -3.85 eV per atom
# Calculated formation energy   -1.28 eV per atom

---

Across the entries above, mass density takes the values 4787; 3635; 7603; 2946; 5876; 4585; 4917; 4368 kg/m3, respectively.